i) First-principles (PBE+U) data for a geometry-optimized MgCo2Bi4O12 structure, as listed in the Materials Project.

The structure in extended XYZ format:
```
19
Lattice="5.028 0.000 0.000 0.000 9.921 0.000 -0.051 0.000 5.169" Properties=species:S:1:pos:R:3 pbc="T T T"
Mg 0.000 0.000 0.000
Co -0.026 4.966 2.584
Co 2.514 0.005 0.000
Bi -0.026 1.765 2.584
Bi -0.026 8.166 2.584
Bi 2.514 3.319 0.000
Bi 2.514 6.612 0.000
O 1.040 3.389 1.711
O 1.047 6.547 1.710
O 1.064 0.005 1.652
O 1.278 1.481 4.376
O 1.287 8.443 4.379
O 1.373 4.971 4.160
O 3.603 4.971 1.008
O 3.689 8.443 0.790
O 3.698 1.481 0.793
O 3.912 0.005 3.517
O 3.930 6.547 3.459
O 3.936 3.389 3.458
```

Calculated values
volume = 258 Å³ per cell
total moment = 5.4 μB/f.u.


ii) First-principles (PBE+U) data for a geometry-optimized MgCo2Bi4O12 structure, as listed in the Materials Project.

The structure in extended XYZ format:
```
19
Lattice="5.135 0.000 0.000 0.000 10.043 0.000 -0.004 0.000 5.137" Properties=species:S:1:pos:R:3 pbc="T T T"
Mg 0.000 0.000 0.000
Co -0.002 2.545 2.569
Co 2.568 7.504 0.000
Bi -0.002 5.752 2.569
Bi -0.002 9.001 2.569
Bi 2.568 1.050 0.000
Bi 2.568 4.298 0.000
O 0.886 0.852 1.513
O 0.979 4.106 1.589
O 1.044 7.440 1.510
O 1.504 2.613 4.091
O 1.505 9.190 4.244
O 1.586 5.944 4.157
O 3.546 5.944 0.980
O 3.626 9.190 0.893
O 3.628 2.613 1.046
O 4.088 7.440 3.627
O 4.153 4.106 3.548
O 4.245 0.852 3.624
```

Calculated values
volume = 265 Å³ per cell
total moment = 5.5 μB/f.u.


Energy above the most stable structure, in meV/atom: i) 0; ii) 87